Record 1
The following is a GGA+U calculation of a relaxed LiMoP2WO11 crystal, from the Materials Project.

Values from the calculation:
- total magnetic moment (μB per atom) = 0.06
- calculated volume (Å³ per atom) = 12.9
- theoretical density (g cm⁻³) = 4.213
- formation energy from the elements (eV per atom) = -2.422

Lattice parameters (Å, degrees): 8.299 6.475 7.880 90.00 102.40 90.00
Space group Cm (No. 8)
Unique sites:
Li (0.000, 0.000, 0.000) x2
Mo (0.149, 0.500, 0.221) x2
P (0.243, 0.000, 0.323) x2
P (0.248, 0.500, 0.665) x2
W (0.346, 0.000, 0.775) x2
O (0.070, 0.500, 0.681) x2
O (0.140, 0.184, 0.229) x4
O (0.164, 0.000, 0.855) x2
O (0.236, 0.000, 0.520) x2
O (0.265, 0.500, 0.475) x2
O (0.319, 0.500, 0.127) x2
O (0.347, 0.312, 0.760) x4
O (0.422, 0.000, 0.306) x2
O (0.491, 0.000, 0.986) x2

Record 2
The following is a GGA+U calculation of a relaxed BaCaCo4O8 crystal, from the Materials Project.

Values from the calculation:
- total magnetic moment (μB per atom) = 0.57
- calculated volume (Å³ per atom) = 14.2
- theoretical density (g cm⁻³) = 4.508
- formation energy from the elements (eV per atom) = -1.713

Lattice parameters (Å, degrees): 5.4194 5.4194 7.8376 90.00 90.00 120.00
Space group P-31m (No. 162)
Unique sites:
Ba (0.0000, 0.0000, 0.0000) x1
Ca (0.0000, 0.0000, 0.5000) x1
Co (0.3333, 0.6667, 0.2349) x4
O (0.0000, 0.3329, 0.3009) x6
O (0.3333, 0.6667, 0.0000) x2

Repeat the first record exactly.
The following is a GGA+U calculation of a relaxed LiMoP2WO11 crystal, from the Materials Project.

Values from the calculation:
- total magnetic moment (μB per atom) = 0.06
- calculated volume (Å³ per atom) = 12.9
- theoretical density (g cm⁻³) = 4.213
- formation energy from the elements (eV per atom) = -2.422

Lattice parameters (Å, degrees): 8.299 6.475 7.880 90.00 102.40 90.00
Space group Cm (No. 8)
Unique sites:
Li (0.000, 0.000, 0.000) x2
Mo (0.149, 0.500, 0.221) x2
P (0.243, 0.000, 0.323) x2
P (0.248, 0.500, 0.665) x2
W (0.346, 0.000, 0.775) x2
O (0.070, 0.500, 0.681) x2
O (0.140, 0.184, 0.229) x4
O (0.164, 0.000, 0.855) x2
O (0.236, 0.000, 0.520) x2
O (0.265, 0.500, 0.475) x2
O (0.319, 0.500, 0.127) x2
O (0.347, 0.312, 0.760) x4
O (0.422, 0.000, 0.306) x2
O (0.491, 0.000, 0.986) x2

Please write out number 2 again, unchanged.
The following is a GGA+U calculation of a relaxed BaCaCo4O8 crystal, from the Materials Project.

Values from the calculation:
- total magnetic moment (μB per atom) = 0.57
- calculated volume (Å³ per atom) = 14.2
- theoretical density (g cm⁻³) = 4.508
- formation energy from the elements (eV per atom) = -1.713

Lattice parameters (Å, degrees): 5.4194 5.4194 7.8376 90.00 90.00 120.00
Space group P-31m (No. 162)
Unique sites:
Ba (0.0000, 0.0000, 0.0000) x1
Ca (0.0000, 0.0000, 0.5000) x1
Co (0.3333, 0.6667, 0.2349) x4
O (0.0000, 0.3329, 0.3009) x6
O (0.3333, 0.6667, 0.0000) x2

- The lowest theoretical density belongs to which entry?
  LiMoP2WO11

- What is the calculated volume in the first record?
  12.9 Å³ per atom